No. 1
This record from the Materials Project describes a relaxed structure of CaAl2O4. The functional is PBE.

Results
relative energy among the computed polymorphs: 0.0015 eV/atom
formation energy from the elements: -333.2 kJ/mol of atoms
total magnetization: 0.000 μB/cell

Cell: 8.040 8.707 10.378 Å, 90.00 95.01 90.00°
Space group P2_1/c (No. 14)
Symmetry-distinct sites (fractional):
Ca 0.005 0.217 0.126 (multiplicity 4)
Ca 0.468 0.244 0.144 (multiplicity 4)
Al 0.179 0.557 0.138 (multiplicity 4)
Al 0.224 0.059 0.368 (multiplicity 4)
Al 0.294 0.607 0.616 (multiplicity 4)
Al 0.305 0.097 0.889 (multiplicity 4)
O 0.020 0.514 0.831 (multiplicity 4)
O 0.153 0.743 0.071 (multiplicity 4)
O 0.216 0.066 0.039 (multiplicity 4)
O 0.231 0.244 0.292 (multiplicity 4)
O 0.271 0.077 0.537 (multiplicity 4)
O 0.286 0.574 0.296 (multiplicity 4)
O 0.347 0.568 0.782 (multiplicity 4)
O 0.488 0.657 0.561 (multiplicity 4)

No. 2
This record from the Materials Project describes a relaxed structure of CaAl2O12. The functional is PBE.

Results
relative energy among the computed polymorphs: 0.0000 eV/atom
formation energy from the elements: -90.5 kJ/mol of atoms
total magnetization: 23.986 μB/cell

Cell: 16.0686 16.0686 9.0653 Å, 90.00 90.00 120.00°
Space group P6_3/m (No. 176)
Symmetry-distinct sites (fractional):
Ca 0.2478 0.5190 0.2500 (multiplicity 6)
Al 0.0741 0.5176 0.0954 (multiplicity 12)
O 0.0042 0.0841 0.0335 (multiplicity 12)
O 0.0231 0.4584 0.5749 (multiplicity 12)
O 0.0715 0.4500 0.2500 (multiplicity 6)
O 0.0737 0.7010 0.2500 (multiplicity 6)
O 0.0881 0.7658 0.1063 (multiplicity 12)
O 0.1744 0.8109 0.0650 (multiplicity 12)
O 0.1945 0.6143 0.1145 (multiplicity 12)

No. 3
This record from the Materials Project describes a relaxed structure of Ca3Al2O6. The functional is PBE.

Results
relative energy among the computed polymorphs: 0.0000 eV/atom
formation energy from the elements: -327.9 kJ/mol of atoms
total magnetization: 0.000 μB/cell

Cell: 15.409 15.409 15.409 Å, 90.00 90.00 90.00°
Space group Pa-3 (No. 205)
Symmetry-distinct sites (fractional):
Ca 0.000 0.000 0.000 (multiplicity 4)
Ca 0.000 0.000 0.500 (multiplicity 4)
Ca 0.120 0.121 0.379 (multiplicity 24)
Ca 0.120 0.125 0.859 (multiplicity 24)
Ca 0.130 0.130 0.130 (multiplicity 8)
Ca 0.247 0.247 0.247 (multiplicity 8)
Al 0.005 0.744 0.769 (multiplicity 24)
Al 0.013 0.520 0.748 (multiplicity 24)
O 0.005 0.530 0.151 (multiplicity 24)
O 0.011 0.716 0.377 (multiplicity 24)
O 0.012 0.153 0.956 (multiplicity 24)
O 0.017 0.131 0.739 (multiplicity 24)
O 0.096 0.210 0.264 (multiplicity 24)
O 0.104 0.736 0.217 (multiplicity 24)